A plane-wave DFT calculation with r2SCAN was carried out for TeI4 after structural relaxation.

a = 13.669 Å, b = 13.669 Å, c = 13.669 Å
α = 101.29°, β = 101.29°, γ = 127.48°
Fractional coordinates of all 40 atoms:
Te: 0.230 0.342 0.612
Te: 0.230 0.618 0.888
Te: 0.342 0.230 0.112
Te: 0.382 0.770 0.612
Te: 0.618 0.230 0.388
Te: 0.658 0.770 0.888
Te: 0.770 0.382 0.112
Te: 0.770 0.658 0.388
I: 0.002 0.127 0.626
I: 0.002 0.376 0.874
I: 0.120 0.244 0.384
I: 0.120 0.735 0.875
I: 0.123 0.499 0.624
I: 0.127 0.002 0.126
I: 0.244 0.120 0.884
I: 0.244 0.360 0.125
I: 0.265 0.640 0.384
I: 0.265 0.880 0.625
I: 0.360 0.244 0.625
I: 0.360 0.735 0.116
I: 0.375 0.499 0.876
I: 0.376 0.002 0.374
I: 0.499 0.123 0.124
I: 0.499 0.375 0.376
I: 0.501 0.625 0.624
I: 0.501 0.877 0.876
I: 0.624 0.998 0.626
I: 0.625 0.501 0.124
I: 0.640 0.265 0.884
I: 0.640 0.756 0.375
I: 0.735 0.120 0.375
I: 0.735 0.360 0.616
I: 0.756 0.640 0.875
I: 0.756 0.880 0.116
I: 0.873 0.998 0.874
I: 0.877 0.501 0.376
I: 0.880 0.265 0.125
I: 0.880 0.756 0.616
I: 0.998 0.624 0.126
I: 0.998 0.873 0.374

Results
calculated formation energy	-136.6	meV/atom
total magnetic moment	0.000	μB/atom